Entry 1:
Entry from Materials Project: a relaxed structure of Fe5O3F7 (PBE with a Hubbard U).

```
Fe5O3F7
1.0
-2.237 -3.458 -2.508
0.651 -2.959 3.751
-13.785 4.562 5.996
Fe O F
10 6 14
Direct
0.969 0.991 0.193 Fe
0.980 0.979 0.399 Fe
0.021 0.020 0.601 Fe
0.009 0.031 0.807 Fe
0.974 0.026 0.000 Fe
0.520 0.528 0.301 Fe
0.472 0.480 0.699 Fe
0.501 0.499 0.500 Fe
0.509 0.477 0.895 Fe
0.523 0.491 0.105 Fe
0.815 0.182 0.900 O
0.818 0.185 0.100 O
0.322 0.324 0.597 O
0.303 0.303 0.793 O
0.697 0.697 0.207 O
0.676 0.678 0.403 O
0.796 0.197 0.297 F
0.797 0.203 0.500 F
0.803 0.204 0.703 F
0.293 0.291 0.211 F
0.297 0.298 0.399 F
0.306 0.297 0.002 F
0.702 0.703 0.601 F
0.709 0.707 0.789 F
0.703 0.694 0.998 F
0.194 0.799 0.295 F
0.201 0.806 0.705 F
0.204 0.796 0.500 F
0.190 0.804 0.098 F
0.196 0.810 0.902 F
```

Summary:
- Distance to the lowest polymorph of the same formula: 0.04 kJ per mole of atoms

Entry 2:
Entry from Materials Project: a relaxed structure of Fe10O11F9 (PBE with a Hubbard U).

```
Fe10O11F9
1.0
-1.499 4.302 1.188
0.112 -1.253 4.540
14.631 4.848 0.878
Fe O F
10 11 9
Direct
0.957 0.978 0.995 Fe
0.027 0.032 0.811 Fe
0.982 0.001 0.597 Fe
0.998 0.043 0.399 Fe
0.002 0.045 0.197 Fe
0.494 0.506 0.898 Fe
0.508 0.471 0.507 Fe
0.487 0.496 0.694 Fe
0.493 0.458 0.302 Fe
0.520 0.476 0.099 Fe
0.791 0.200 0.899 O
0.808 0.187 0.502 O
0.817 0.202 0.299 O
0.805 0.180 0.096 O
0.316 0.327 0.799 O
0.295 0.294 0.603 O
0.316 0.306 0.403 O
0.319 0.308 0.197 O
0.674 0.676 0.998 O
0.693 0.694 0.603 O
0.190 0.802 0.901 O
0.811 0.199 0.704 F
0.289 0.292 0.000 F
0.702 0.713 0.794 F
0.706 0.699 0.402 F
0.709 0.699 0.200 F
0.197 0.798 0.499 F
0.190 0.818 0.702 F
0.195 0.794 0.100 F
0.208 0.806 0.300 F
```

Summary:
- Distance to the lowest polymorph of the same formula: 0.65 kJ per mole of atoms

Number 1: total energy -174.9 eV per cell, M_tot 46.0 μB per cell, ΔH_f (0 K) -33.4 eV/f.u.. Number 2: total energy -180.8 eV per cell, M_tot 49.0 μB per cell, ΔH_f (0 K) -58.7 eV/f.u..